[1]
# PBE Rb2ZnBr4, relaxed
# Polymorph energy (0 for the lowest one) ... 1 meV/atom
data_Rb2ZnBr4
_chemical_formula_sum 'Rb48 Zn24 Br96'
_cell_length_a 15.8002
_cell_length_b 29.6726
_cell_length_c 15.8108
_cell_angle_alpha 90.00
_cell_angle_beta 119.99
_cell_angle_gamma 90.00
_space_group_name_H-M_alt 'P 1 c 1'
_space_group_IT_number 7
loop_
_space_group_symop_operation_xyz
'x,y,z'
'x,-y,z+1/2'
loop_
_atom_site_label
_atom_site_fract_x
_atom_site_fract_y
_atom_site_fract_z
Rb1 0.0000 0.0805 0.0000
Rb2 0.0155 0.2549 0.5005
Rb3 0.1230 0.0432 0.7681
Rb4 0.1353 0.3751 0.7787
Rb5 0.1484 0.2903 0.2612
Rb6 0.2954 0.4575 0.5871
Rb7 0.2960 0.1269 0.5868
Rb8 0.3112 0.2075 0.0815
Rb9 0.4135 0.0870 0.3560
Rb10 0.4181 0.4205 0.3518
Rb11 0.4430 0.2465 0.8535
Rb12 0.4954 0.4123 0.9968
Rb13 0.4971 0.0777 0.0008
Rb14 0.5135 0.2528 0.4981
Rb15 0.6369 0.0421 0.7794
Rb16 0.6481 0.3737 0.7693
Rb17 0.6505 0.2915 0.2782
Rb18 0.7726 0.4579 0.5716
Rb19 0.7948 0.1252 0.5714
Rb20 0.7987 0.2096 0.0861
Rb21 0.9227 0.0861 0.3495
Rb22 0.9311 0.4214 0.3532
Rb23 0.9404 0.2461 0.8539
Rb24 0.9883 0.4146 0.0037
Zn1 0.1214 0.1761 0.7523
Zn2 0.1256 0.4930 0.2583
Zn3 0.1364 0.1577 0.2574
Zn4 0.2976 0.0074 0.0998
Zn5 0.2978 0.3246 0.5983
Zn6 0.3043 0.3438 0.0919
Zn7 0.6298 0.1758 0.7589
Zn8 0.6312 0.4910 0.2543
Zn9 0.6365 0.1566 0.2565
Zn10 0.7958 0.3236 0.5973
Zn11 0.7995 0.0085 0.0952
Zn12 0.8088 0.3419 0.1011
Br1 0.0106 0.4737 0.6001
Br2 0.0187 0.1403 0.8094
Br3 0.0247 0.1851 0.3096
Br4 0.0684 0.1417 0.5922
Br5 0.0810 0.4839 0.8789
Br6 0.0869 0.1920 0.0980
Br7 0.0972 0.2566 0.7496
Br8 0.1308 0.0140 0.4808
Br9 0.1354 0.4118 0.2584
Br10 0.1359 0.3201 0.0286
Br11 0.1425 0.3627 0.5516
Br12 0.1444 0.0767 0.2553
Br13 0.2749 0.2442 0.6041
Br14 0.2869 0.4747 0.8069
Br15 0.2918 0.1559 0.8595
Br16 0.2994 0.1868 0.3726
Br17 0.3109 0.0885 0.0990
Br18 0.3242 0.4244 0.0982
Br19 0.3416 0.0245 0.7598
Br20 0.3503 0.3417 0.4810
Br21 0.3597 0.3131 0.9841
Br22 0.4001 0.3083 0.2528
Br23 0.4098 0.0274 0.5538
Br24 0.4165 0.3580 0.7560
Br25 0.5249 0.1392 0.8135
Br26 0.5249 0.4752 0.5931
Br27 0.5339 0.1828 0.3213
Br28 0.5669 0.1891 0.0926
Br29 0.5707 0.4863 0.8628
Br30 0.5838 0.1415 0.6011
Br31 0.6011 0.2561 0.7514
Br32 0.6320 0.0163 0.4862
Br33 0.6325 0.3579 0.5317
Br34 0.6455 0.3123 0.0468
Br35 0.6458 0.4103 0.2536
Br36 0.6521 0.0758 0.2570
Br37 0.7762 0.2431 0.6014
Br38 0.7917 0.4750 0.8085
Br39 0.7994 0.1583 0.8749
Br40 0.7997 0.1886 0.3587
Br41 0.8100 0.0895 0.0950
Br42 0.8136 0.4230 0.0952
Br43 0.8552 0.0256 0.7556
Br44 0.8612 0.3446 0.4929
Br45 0.8641 0.3114 0.9931
Br46 0.8959 0.3582 0.7577
Br47 0.9056 0.0228 0.5375
Br48 0.9166 0.3108 0.2639

=====

[2]
# PBE Rb2ZnBr4, relaxed
# Polymorph energy (0 for the lowest one) ... 6 meV/atom
data_Rb2ZnBr4
_chemical_formula_sum 'Rb8 Zn4 Br16'
_cell_length_a 9.8795
_cell_length_b 13.7582
_cell_length_c 7.8965
_cell_angle_alpha 90.00
_cell_angle_beta 90.00
_cell_angle_gamma 90.00
_space_group_name_H-M_alt 'P n a 21'
_space_group_IT_number 33
loop_
_space_group_symop_operation_xyz
'x,y,z'
'-x,-y,z+1/2'
'-x+1/2,y+1/2,z+1/2'
'x+1/2,-y+1/2,z'
loop_
_atom_site_label
_atom_site_fract_x
_atom_site_fract_y
_atom_site_fract_z
Rb1 0.0115 0.1762 0.0000
Rb2 0.1235 0.4043 0.5028
Zn1 0.2232 0.0792 0.5001
Br1 0.0221 0.9213 0.9996
Br2 0.1750 0.4172 0.0128
Br3 0.1885 0.6566 0.7453
Br4 0.1923 0.6696 0.2437

=====

[3]
Re3Br7: relaxed, PBE.

CIF file:
```
data_Re3Br7
_chemical_formula_sum 'Re12 Br28'
_cell_length_a 10.1870
_cell_length_b 10.7662
_cell_length_c 14.9083
_cell_angle_alpha 92.84
_cell_angle_beta 102.16
_cell_angle_gamma 101.51
_space_group_name_H-M_alt 'P -1'
_space_group_IT_number 2
loop_
_space_group_symop_operation_xyz
'x,y,z'
'-x,-y,-z'
loop_
_atom_site_label
_atom_site_fract_x
_atom_site_fract_y
_atom_site_fract_z
Re1 0.0655 0.1345 0.2841
Re2 0.0661 0.3364 0.2388
Re3 0.1679 0.8233 0.6827
Re4 0.1686 0.6109 0.7272
Re5 0.1769 0.7543 0.8830
Re6 0.1789 0.9576 0.8387
Br1 0.0446 0.1917 0.4457
Br2 0.0480 0.2928 0.0698
Br3 0.0497 0.0077 0.1331
Br4 0.0669 0.4837 0.3787
Br5 0.0931 0.4507 0.8390
Br6 0.1054 0.1061 0.6969
Br7 0.2820 0.7640 0.0501
Br8 0.2827 0.8578 0.5510
Br9 0.2868 0.5132 0.6259
Br10 0.3045 0.1070 0.3395
Br11 0.3036 0.1158 0.9715
Br12 0.3050 0.4533 0.2477
Br13 0.3897 0.6837 0.8527
Br14 0.3909 0.9669 0.7734
```

=====

[4]
ReBr: relaxed, PBE.

CIF file:
```
data_ReBr
_chemical_formula_sum 'Re2 Br2'
_cell_length_a 3.0765
_cell_length_b 3.0765
_cell_length_c 8.7331
_cell_angle_alpha 90.00
_cell_angle_beta 90.00
_cell_angle_gamma 120.00
_space_group_name_H-M_alt 'P 63 m c'
_space_group_IT_number 186
_space_group_name_Hall 'P 6c -2c'
loop_
_atom_site_label
_atom_site_fract_x
_atom_site_fract_y
_atom_site_fract_z
Re1 0.3333 0.6667 0.0000
Br1 0.3333 0.6667 0.7218
```

=====

In order of appearance, calculated total energy = -2.835 -2.830 -5.157 -5.729 eV/atom.
In order of appearance, energy relative to the elements = -1.745 -1.739 -0.652 1.044 eV/atom.